Entry 1:
## MgPb5 (PBE)

Data for a relaxed structure of MgPb5.

Offset from the most stable computed form = 0.124 eV per formula unit
Symmetry = Amm2

```
MgPb5
1.0
1.7657 -8.9743 0.0000
1.7657 8.9743 0.0000
0.0000 0.0000 5.7707
Pb Mg
5 1
direct
0.0005 0.9995 0.5000
0.3306 0.6694 0.5000
0.4381 0.5619 0.0000
0.6682 0.3318 0.5000
0.1182 0.8818 0.0000
0.7777 0.2223 0.0000
```

***

Entry 2:
## Mg149Pb (PBE)

Data for a relaxed structure of Mg149Pb.

Symmetry = P-6m2

```
Mg149Pb
1.0
13.8047 -7.9701 0.0000
0.0000 15.9403 0.0000
0.0000 0.0000 15.5569
Mg Pb
149 1
direct
0.9993 0.7968 0.0000
0.8667 0.5332 0.5000
0.8651 0.9325 0.1693
0.0666 0.9334 0.5000
0.6001 0.6000 0.6667
0.8667 0.3335 0.1665
0.6001 0.0001 0.6667
0.4000 0.0001 0.3333
0.8664 0.7328 0.1672
0.6001 0.3999 0.0000
0.8664 0.7328 0.8328
0.6665 0.5332 0.5000
0.7999 0.2001 0.3332
0.2002 0.0002 0.6659
0.5992 0.9999 0.0000
0.1999 0.8001 0.0000
0.0665 0.3334 0.8334
0.8000 0.0002 0.6659
0.9998 0.7998 0.6659
0.6001 0.8000 0.6669
0.2000 0.6000 0.0000
0.7998 0.2002 0.0000
0.4000 0.6000 0.0000
0.9999 0.6000 0.3333
0.7999 0.2001 0.6668
0.0675 0.1349 0.1693
0.0001 0.5993 0.0000
0.0665 0.3334 0.1666
0.4007 0.4008 0.0000
0.6666 0.9334 0.5000
0.4000 0.7999 0.6667
0.8667 0.5332 0.1665
0.4668 0.3335 0.1665
0.1999 0.3998 0.0000
0.0001 0.4008 0.0000
0.2000 0.8000 0.3331
0.7998 0.5996 0.0000
0.2002 0.2000 0.3341
0.8667 0.5332 0.8335
0.2672 0.1336 0.1672
0.2001 0.6000 0.6667
0.0666 0.5333 0.5000
0.8667 0.3335 0.8335
0.4668 0.7334 0.5000
0.5992 0.5993 0.0000
0.2667 0.7333 0.1668
0.6666 0.7331 0.1666
0.6001 0.2002 0.6668
0.7975 0.0007 0.0000
0.4666 0.5334 0.8334
0.4666 0.9332 0.8334
0.2001 0.6000 0.3333
0.4002 0.2001 0.3332
0.9993 0.2025 0.0000
0.6667 0.3333 0.5000
0.0000 0.0000 0.6661
0.0000 0.0000 0.3339
0.0675 0.9325 0.8307
0.4667 0.7333 0.8332
0.4004 0.2002 0.0000
0.6665 0.5332 0.1665
0.7999 0.5998 0.3332
0.2000 0.3999 0.6669
0.4667 0.5333 0.5000
0.8000 0.7998 0.3341
0.4668 0.1333 0.8335
0.2032 0.0007 0.0000
0.2667 0.5333 0.1668
0.4000 0.3999 0.6667
0.6001 0.0001 0.3333
0.9998 0.2000 0.6659
0.9999 0.6000 0.6667
0.0668 0.5334 0.1666
0.2669 0.3334 0.8334
0.6667 0.3333 0.1667
0.2669 0.3334 0.1666
0.8667 0.7333 0.5000
0.6667 0.3333 0.8333
0.2032 0.2025 0.0000
0.4668 0.1333 0.5000
0.7999 0.5998 0.6668
0.2002 0.0002 0.3341
0.4000 0.0001 0.6667
0.4000 0.6000 0.6667
0.4000 0.3999 0.3333
0.6001 0.8000 0.3331
0.2667 0.3334 0.5000
0.8651 0.9325 0.8307
0.7999 0.3999 0.0000
0.0665 0.7331 0.1666
0.9999 0.3999 0.3333
0.0666 0.3334 0.5000
0.6665 0.1333 0.8335
0.6001 0.3999 0.3332
0.0666 0.1333 0.5000
0.6001 0.2001 0.0000
0.7975 0.7968 0.0000
0.2672 0.1336 0.8328
0.4000 0.8000 0.0000
0.8667 0.3335 0.5000
0.8000 0.0002 0.3341
0.4668 0.3335 0.8335
0.6665 0.5332 0.8335
0.2667 0.1333 0.5000
0.7998 0.3999 0.6668
0.2002 0.2000 0.6659
0.6001 0.3999 0.6668
0.2000 0.8000 0.6669
0.4000 0.6000 0.3333
0.6666 0.7333 0.5000
0.8667 0.1333 0.5000
0.0665 0.7331 0.8334
0.8000 0.7998 0.6659
0.4666 0.9332 0.1666
0.0668 0.5334 0.8334
0.4666 0.5334 0.1666
0.2669 0.9335 0.8334
0.2666 0.5332 0.5000
0.2669 0.9335 0.1666
0.4667 0.7333 0.1668
0.0666 0.7333 0.5000
0.2667 0.5333 0.8332
0.8664 0.1336 0.1672
0.6666 0.9335 0.8334
0.2000 0.3999 0.3331
0.6665 0.1333 0.5000
0.8667 0.9334 0.5000
0.0675 0.1349 0.8307
0.9999 0.3999 0.6667
0.6666 0.9335 0.1666
0.6001 0.2002 0.3332
0.4002 0.2001 0.6668
0.2667 0.9334 0.5000
0.6001 0.6000 0.3333
0.6666 0.7331 0.8334
0.9998 0.2000 0.3341
0.6002 0.8001 0.0000
0.4667 0.9334 0.5000
0.0675 0.9325 0.1693
0.8664 0.1336 0.8328
0.6665 0.1333 0.1665
0.4000 0.7999 0.3333
0.4668 0.1333 0.1665
0.4007 0.9999 0.0000
0.7998 0.3999 0.3332
0.4668 0.3335 0.5000
0.9998 0.7998 0.3341
0.2667 0.7333 0.8332
0.2666 0.7334 0.5000
0.0000 0.0000 0.0000
```

***

Entry 3:
## Mg5Pb (PBE)

Data for a relaxed structure of Mg5Pb.

Offset from the most stable computed form = 0.056 eV per formula unit
Symmetry = P-62m

```
Mg5Pb
1.0
2.8067 -4.8613 0.0000
2.8067 4.8613 0.0000
0.0000 0.0000 5.3384
Mg Pb
5 1
direct
0.3421 0.3421 0.0000
0.0000 0.6579 0.0000
0.6579 0.0000 0.0000
0.6667 0.3333 0.5000
0.3333 0.6667 0.5000
0.0000 0.0000 0.5000
```

***

Entry 4:
## MgPb3 (PBE)

Data for a relaxed structure of MgPb3.

Symmetry = P-6m2

```
MgPb3
1.0
1.7732 -3.0713 0.0000
1.7732 3.0713 0.0000
0.0000 0.0000 10.9648
Pb Mg
3 1
direct
0.6667 0.3333 0.7316
0.3333 0.6667 0.0000
0.6667 0.3333 0.2684
0.3333 0.6667 0.5000
```

***

Entry 5:
## MgPb3 (PBE)

Data for a relaxed structure of MgPb3.

Symmetry = I4/mmm

```
MgPb3
1.0
0.9418 -5.3616 2.7924
1.6773 0.6874 5.8434
-4.5811 2.2565 -3.3693
Pb Mg
3 1
direct
0.7500 0.2500 0.5000
0.5000 0.5000 0.0000
0.2500 0.7500 0.5000
0.0000 0.0000 0.0000
```

***

Entry 6:
## MgPb3 (PBE)

Data for a relaxed structure of MgPb3.

Symmetry = P6_3/mmc

```
MgPb3
1.0
3.3352 -5.7768 0.0000
3.3352 5.7768 0.0000
0.0000 0.0000 6.1393
Pb Mg
6 2
direct
0.8317 0.6633 0.7500
0.6633 0.8317 0.2500
0.1683 0.3367 0.2500
0.3367 0.1683 0.7500
0.1683 0.8317 0.2500
0.8317 0.1683 0.7500
0.3333 0.6667 0.7500
0.6667 0.3333 0.2500
```

***

Entry 7:
## MgRh2Pb (PBE)

Data for a relaxed structure of MgRh2Pb.

Symmetry = Fm-3m

```
MgRh2Pb
1.0
0.0000 3.2361 3.2361
3.2361 0.0000 3.2361
3.2361 3.2361 0.0000
Rh Pb Mg
2 1 1
direct
0.7500 0.7500 0.7500
0.2500 0.2500 0.2500
0.0000 0.0000 0.0000
0.5000 0.5000 0.5000
```

***

Entry 8:
## Mg2TlPb (PBE)

Data for a relaxed structure of Mg2TlPb.

Symmetry = Fm-3m

```
Mg2TlPb
1.0
0.0000 3.7398 3.7398
3.7398 0.0000 3.7398
3.7398 3.7398 0.0000
Mg Pb Tl
2 1 1
direct
0.2500 0.2500 0.2500
0.7500 0.7500 0.7500
0.5000 0.5000 0.5000
0.0000 0.0000 0.0000
```

***

| no. | DFT formation energy (eV/atom) |
| --- | --- |
| 1 | 0.046 |
| 2 | -0.029 |
| 3 | -0.005 |
| 4 | -0.009 |
| 5 | 0.013 |
| 6 | 0.033 |
| 7 | -0.323 |
| 8 | -0.050 |